First-principles (r2SCAN) data for a geometry-optimized Er2B4C structure, as listed in Materials Project.

Cell lengths 3.2485, 6.5620, 7.4025 Å; angles 90.00, 90.00, 90.00 degrees
Last column: nearest neighbours and their distance in Å.
Space group Immm (No. 71)
Asymmetric unit:
Er1 0.0000 0.0000 0.2333 x4  2 C 2.37
B1 0.0000 0.2727 0.5000 x4  1 C 1.49
B2 0.0000 0.3660 0.0000 x4  3 B 1.76-1.86
C1 0.0000 0.5000 0.5000 x2  2 B 1.49

Properties
Electronic total energy   -16.00 eV per atom
Energy of formation from the pure elements   -4.79 eV/f.u.
M_tot   0.0 μB per formula unit